NbFeB | r²SCAN | relaxed

a = 6.0134 Å, b = 6.0134 Å, c = 3.1715 Å
α = 90.00°, β = 90.00°, γ = 120.00°
Atoms (fractional coordinates):
1 B 0.3333 0.6666 0.0000
2 B 0.6667 0.3333 0.0000
3 B 0.0000 0.0000 0.5000
4 Nb 0.5906 0.0001 0.5000
5 Nb 0.4094 0.4094 0.5000
6 Nb 0.0000 0.5905 0.5000
7 Fe 0.7594 0.7594 0.0000
8 Fe 0.0000 0.2406 0.0000
9 Fe 0.2406 0.0000 0.0000

=====

Nd5Fe2B6 | r²SCAN | relaxed

a = 8.8392 Å, b = 8.8392 Å, c = 8.8392 Å
α = 35.95°, β = 35.95°, γ = 35.95°
Atoms (fractional coordinates):
1 Nd 0.2506 0.2506 0.2506
2 Nd 0.0000 0.0000 0.0000
3 Nd 0.7494 0.7494 0.7494
4 Nd 0.4171 0.4171 0.4171
5 Nd 0.5829 0.5829 0.5829
6 B 0.1650 0.8350 0.5000
7 B 0.8350 0.1650 0.5000
8 B 0.1650 0.5000 0.8350
9 B 0.5000 0.8350 0.1650
10 B 0.5000 0.1650 0.8350
11 B 0.8350 0.5000 0.1650
12 Fe 0.8795 0.8795 0.8795
13 Fe 0.1205 0.1205 0.1205

=====

Fe3BO5 | r²SCAN | relaxed

Results
* offset from the most stable computed form: 0 meV per atom

a = 3.0518 Å, b = 9.3814 Å, c = 12.4008 Å
α = 90.00°, β = 90.00°, γ = 90.00°
Atoms (fractional coordinates):
1 Fe 0.5000 0.7544 0.8878
2 Fe 0.5000 0.0000 0.5000
3 Fe 0.0000 0.0000 0.0000
4 Fe 0.0000 0.5000 0.5000
5 Fe 0.5000 0.7456 0.3878
6 Fe 0.5000 0.2544 0.6122
7 Fe 0.0000 0.4971 0.7756
8 Fe 0.0000 0.0029 0.2756
9 Fe 0.5000 0.5000 0.0000
10 Fe 0.0000 0.9971 0.7244
11 Fe 0.0000 0.5029 0.2244
12 Fe 0.5000 0.2456 0.1122
13 O 0.0000 0.3954 0.6402
14 O 0.5000 0.1521 0.9565
15 O 0.5000 0.6524 0.7356
16 O 0.5000 0.6521 0.5435
17 O 0.5000 0.6268 0.1402
18 O 0.5000 0.3732 0.8598
19 O 0.5000 0.3479 0.4565
20 O 0.5000 0.8732 0.6402
21 O 0.0000 0.1054 0.5814
22 O 0.5000 0.8479 0.0435
23 O 0.0000 0.1046 0.1402
24 O 0.0000 0.8946 0.4186
25 O 0.5000 0.3476 0.2644
26 O 0.0000 0.3946 0.0814
27 O 0.0000 0.6046 0.3598
28 O 0.5000 0.8476 0.2356
29 O 0.0000 0.6054 0.9186
30 O 0.5000 0.1268 0.3598
31 O 0.5000 0.1524 0.7644
32 O 0.0000 0.8954 0.8598
33 B 0.5000 0.2262 0.8606
34 B 0.5000 0.7738 0.1394
35 B 0.5000 0.7262 0.6394
36 B 0.5000 0.2738 0.3606

=====

Fe3BO6 | r²SCAN | relaxed

a = 4.4692 Å, b = 8.5957 Å, c = 10.0932 Å
α = 90.00°, β = 90.00°, γ = 90.00°
Atoms (fractional coordinates):
1 B 0.4104 0.2500 0.7831
2 B 0.9104 0.7500 0.7169
3 B 0.0896 0.2500 0.2831
4 B 0.5896 0.7500 0.2169
5 O 0.2249 0.2500 0.4184
6 O 0.7751 0.7500 0.5816
7 O 0.7336 0.6130 0.2850
8 O 0.2336 0.1130 0.2150
9 O 0.2664 0.3870 0.7150
10 O 0.7673 0.2500 0.2818
11 O 0.7327 0.2500 0.7818
12 O 0.2664 0.1130 0.7150
13 O 0.2645 0.5811 0.4643
14 O 0.2751 0.2500 0.9184
15 O 0.2645 0.9189 0.4643
16 O 0.7355 0.0811 0.5357
17 O 0.7664 0.8870 0.7850
18 O 0.2355 0.9189 0.9643
19 O 0.2355 0.5811 0.9643
20 O 0.7336 0.8870 0.2850
21 O 0.7645 0.0811 0.0357
22 O 0.7664 0.6130 0.7850
23 O 0.2673 0.7500 0.2182
24 O 0.7355 0.4189 0.5357
25 O 0.2327 0.7500 0.7182
26 O 0.2336 0.3870 0.2150
27 O 0.7249 0.7500 0.0816
28 O 0.7645 0.4189 0.0357
29 Fe 0.9768 0.4342 0.8709
30 Fe 0.5169 0.2500 0.0888
31 Fe 0.0169 0.7500 0.4112
32 Fe 0.4768 0.9342 0.6291
33 Fe 0.9831 0.2500 0.5888
34 Fe 0.0232 0.5658 0.1291
35 Fe 0.4831 0.7500 0.9112
36 Fe 0.4768 0.5658 0.6291
37 Fe 0.5232 0.0658 0.3709
38 Fe 0.5232 0.4342 0.3709
39 Fe 0.0232 0.9342 0.1291
40 Fe 0.9768 0.0658 0.8709

=====

Fe3BO5 | r²SCAN | relaxed

Results
* offset from the most stable computed form: 2 meV per atom

a = 3.0499 Å, b = 5.4436 Å, c = 10.7395 Å
α = 85.40°, β = 90.00°, γ = 90.00°
Atoms (fractional coordinates):
1 Fe 0.0000 0.5000 0.5000
2 Fe 0.0000 0.0000 0.0000
3 Fe 0.5000 0.7144 0.2286
4 Fe 0.5000 0.0000 0.5000
5 Fe 0.0000 0.5000 0.0000
6 Fe 0.5000 0.2856 0.7714
7 O 0.0000 0.5603 0.8035
8 O 0.0000 0.0005 0.8040
9 O 0.5000 0.6923 0.4084
10 O 0.5000 0.3077 0.5916
11 O 0.0000 0.8115 0.6113
12 O 0.5000 0.2558 0.9640
13 O 0.0000 0.9995 0.1960
14 O 0.0000 0.1885 0.3887
15 O 0.5000 0.7442 0.0360
16 O 0.0000 0.4397 0.1965
17 B 0.0000 0.7908 0.7399
18 B 0.0000 0.2092 0.2601

=====

FeBPbO4 | r²SCAN | relaxed

a = 5.9734 Å, b = 7.0044 Å, c = 8.4179 Å
α = 90.00°, β = 90.00°, γ = 90.00°
Atoms (fractional coordinates):
1 O 0.0499 0.8300 0.8049
2 O 0.9501 0.1700 0.1951
3 O 0.5499 0.1700 0.1951
4 O 0.2500 0.8931 0.1160
5 O 0.7500 0.3178 0.4093
6 O 0.2500 0.3931 0.3840
7 O 0.9501 0.6700 0.3049
8 O 0.0499 0.3300 0.6951
9 O 0.7500 0.6069 0.6160
10 O 0.4501 0.8300 0.8049
11 O 0.2500 0.6822 0.5907
12 O 0.7500 0.1069 0.8840
13 O 0.7500 0.8178 0.0907
14 O 0.4501 0.3300 0.6951
15 O 0.5499 0.6700 0.3049
16 O 0.2500 0.1822 0.9093
17 Fe 0.0000 0.5000 0.5000
18 Fe 0.5000 0.0000 0.0000
19 Fe 0.0000 0.0000 0.0000
20 Fe 0.5000 0.5000 0.5000
21 Pb 0.2500 0.5595 0.1443
22 Pb 0.7500 0.4405 0.8557
23 Pb 0.7500 0.9405 0.6443
24 Pb 0.2500 0.0595 0.3557
25 B 0.2500 0.7792 0.7338
26 B 0.2500 0.2792 0.7662
27 B 0.7500 0.7208 0.2338
28 B 0.7500 0.2208 0.2662

=====

For reference, ΔH_f (0 K) by record: -41 -34 -175 -176 -175 -185 kJ per mole of atoms.